# Pt

A relaxed Pt crystal (r²SCAN, the Materials Project database).

## Properties
The calculation puts the total DFT energy (no corrections) at -51.488 eV per atom. The value obtained for the calculated formation energy is 0.000 eV/atom.

a = 2.788 Å, b = 2.788 Å, c = 2.788 Å
α = 60.00°, β = 60.00°, γ = 60.00°
Element x y z (fractional)
Pt 0.000 0.000 0.000